[1]
CdFe5N4 | GGA-PBE | relaxed

Cell lengths 5.408, 8.206, 4.655 Å; angles 90.00, 90.00, 90.00 degrees
Element x y z (fractional)
Cd 0.250 0.250 0.194
Cd 0.750 0.750 0.806
Fe 0.004 0.551 0.238
Fe 0.004 0.949 0.238
Fe 0.250 0.750 0.646
Fe 0.496 0.551 0.238
Fe 0.496 0.949 0.238
Fe 0.504 0.051 0.762
Fe 0.504 0.449 0.762
Fe 0.750 0.250 0.354
Fe 0.996 0.051 0.762
Fe 0.996 0.449 0.762
N 0.010 0.750 0.362
N 0.250 0.575 0.940
N 0.250 0.925 0.940
N 0.490 0.750 0.362
N 0.510 0.250 0.638
N 0.750 0.075 0.060
N 0.750 0.425 0.060
N 0.990 0.250 0.638

Values from the calculation:
V = 10.33 A^3/atom
ΔH_f (0 K) = 66.1 kJ/mol of formula units
Crystal system = orthorhombic
Spin magnetization = 0.46 μB per formula unit

---

[2]
K2Zr | GGA-PBE | relaxed

Cell lengths 6.564, 6.564, 7.865 Å; angles 90.00, 90.00, 120.00 degrees
Element x y z (fractional)
K 0.000 0.000 0.000
K 0.000 0.000 0.500
K 0.333 0.667 0.250
K 0.667 0.333 0.750
Zr 0.333 0.667 0.750
Zr 0.667 0.333 0.250

Values from the calculation:
V = 48.92 A^3/atom
ΔH_f (0 K) = 381.3 kJ/mol of formula units
Crystal system = hexagonal
Spin magnetization = 3.94 μB per formula unit

---

[3]
TmS | GGA-PBE | relaxed

Cell lengths 3.841, 3.841, 3.841 Å; angles 60.00, 60.00, 60.00 degrees
Element x y z (fractional)
Tm 0.000 0.000 0.000
S 0.500 0.500 0.500

Values from the calculation:
V = 20.03 A^3/atom
ΔH_f (0 K) = -420.2 kJ/mol of formula units
Crystal system = cubic

---

[4]
AlAsO4 | GGA-PBE | relaxed

Cell lengths 5.140, 5.140, 11.463 Å; angles 90.00, 90.00, 120.00 degrees
Element x y z (fractional)
Al 0.000 0.462 0.167
Al 0.462 0.000 0.833
Al 0.538 0.538 0.500
As 0.000 0.460 0.667
As 0.460 0.000 0.333
As 0.540 0.540 0.000
O 0.116 0.709 0.780
O 0.123 0.718 0.285
O 0.282 0.405 0.618
O 0.291 0.407 0.113
O 0.405 0.282 0.382
O 0.407 0.291 0.887
O 0.593 0.884 0.447
O 0.595 0.877 0.951
O 0.709 0.116 0.220
O 0.718 0.123 0.715
O 0.877 0.595 0.049
O 0.884 0.593 0.553

Values from the calculation:
V = 14.57 A^3/atom
ΔH_f (0 K) = -1412.3 kJ/mol of formula units
Crystal system = trigonal

---

[5]
PrTi2O6 | GGA-PBE | relaxed

Cell lengths 7.725, 5.550, 5.447 Å; angles 90.00, 90.00, 90.00 degrees
Element x y z (fractional)
Pr 0.000 0.203 0.000
Pr 0.500 0.797 0.500
Ti 0.249 0.266 0.496
Ti 0.251 0.734 0.996
Ti 0.749 0.734 0.996
Ti 0.751 0.266 0.496
O 0.000 0.257 0.553
O 0.000 0.763 0.951
O 0.215 0.467 0.206
O 0.231 0.985 0.251
O 0.269 0.015 0.751
O 0.285 0.533 0.706
O 0.500 0.237 0.451
O 0.500 0.743 0.053
O 0.715 0.533 0.706
O 0.731 0.015 0.751
O 0.769 0.985 0.251
O 0.785 0.467 0.206

Values from the calculation:
V = 12.97 A^3/atom
ΔH_f (0 K) = -2876.0 kJ/mol of formula units
Crystal system = orthorhombic

---

[6]
TbCdHg2 | GGA-PBE | relaxed

Cell lengths 5.114, 5.114, 5.114 Å; angles 60.00, 60.00, 60.00 degrees
Element x y z (fractional)
Tb 0.000 0.000 0.000
Cd 0.500 0.500 0.500
Hg 0.250 0.250 0.250
Hg 0.750 0.750 0.750

Values from the calculation:
V = 23.64 A^3/atom
ΔH_f (0 K) = -145.5 kJ/mol of formula units
Crystal system = cubic